# 1
Crystalline LiIrN2 at its relaxed geometry. Source: Materials Project, functional PBE-GGA.

Output
Its total energy is -6.591 eV per atom. As for the magnetization: 0.00 μB/atom. The formation energy comes out at 0.33 eV per formula unit.

a b c (Å): 5.1849 10.4666 15.1799
angles (deg): 90.00 90.00 90.00
Space group Pbca (No. 61)
Symmetry-distinct sites (fractional):
Li  0.1636  0.0141  0.0689 [8 per cell]
Li  0.2139  0.2044  0.1990 [8 per cell]
Ir  0.1247  0.5273  0.8022 [8 per cell]
Ir  0.2109  0.2306  0.4328 [8 per cell]
N  0.0061  0.5972  0.1171 [8 per cell]
N  0.0079  0.5185  0.3091 [8 per cell]
N  0.0409  0.6611  0.5104 [8 per cell]
N  0.1383  0.7064  0.8254 [8 per cell]

---

# 2
Crystalline HoScRu2 at its relaxed geometry. Source: Materials Project, functional PBE-GGA.

Output
Its total energy is -7.802 eV per atom. The formation energy comes out at -1.74 eV per formula unit.

a b c (Å): 6.6026 6.6026 6.6026
angles (deg): 90.00 90.00 90.00
Space group Fm-3m (No. 225)
Symmetry-distinct sites (fractional):
Ho  0.0000  0.0000  0.0000 [4 per cell]
Sc  0.0000  0.0000  0.5000 [4 per cell]
Ru  0.2500  0.2500  0.2500 [8 per cell]

---

# 3
Crystalline Tm3Sn at its relaxed geometry. Source: Materials Project, functional PBE-GGA.

Output
Its total energy is -4.736 eV per atom. The formation energy comes out at -1.51 eV per formula unit.

a b c (Å): 4.5948 4.5948 10.3413
angles (deg): 90.00 90.00 90.00
Space group I4/mmm (No. 139)
Symmetry-distinct sites (fractional):
Tm  0.0000  0.0000  0.0000 [2 per cell]
Tm  0.0000  0.5000  0.2500 [4 per cell]
Sn  0.0000  0.0000  0.5000 [2 per cell]

---

# 4
Crystalline UTiFe at its relaxed geometry. Source: Materials Project, functional PBE-GGA.

Output
Its total energy is -9.256 eV per atom. As for the magnetization: 0.00 μB/atom. The formation energy comes out at -0.11 eV per formula unit.

a b c (Å): 5.4260 5.7704 6.2560
angles (deg): 90.00 90.00 90.00
Space group Imma (No. 74)
Symmetry-distinct sites (fractional):
U  0.0000  0.2500  0.0937 [4 per cell]
Ti  0.0000  0.0000  0.5000 [4 per cell]
Fe  0.2500  0.2500  0.7500 [4 per cell]

---

# 5
Crystalline Ti5Ga4 at its relaxed geometry. Source: Materials Project, functional PBE-GGA.

Output
Its total energy is -6.172 eV per atom. The formation energy comes out at -3.96 eV per formula unit.

a b c (Å): 7.8796 7.8796 5.4171
angles (deg): 90.00 90.00 120.00
Space group P6_3/mcm (No. 193)
Symmetry-distinct sites (fractional):
Ti  0.0000  0.2871  0.2500 [6 per cell]
Ti  0.3333  0.6667  0.0000 [4 per cell]
Ga  0.0000  0.0000  0.0000 [2 per cell]
Ga  0.0000  0.3768  0.7500 [6 per cell]

---

# 6
Crystalline BaAg2 at its relaxed geometry. Source: Materials Project, functional PBE-GGA.

Output
Its total energy is -2.820 eV per atom. The formation energy comes out at -0.88 eV per formula unit.

a b c (Å): 5.0631 8.2620 8.5107
angles (deg): 90.00 90.00 90.00
Space group Imma (No. 74)
Symmetry-distinct sites (fractional):
Ba  0.0000  0.2500  0.0393 [4 per cell]
Ag  0.0000  0.0535  0.6643 [8 per cell]

---

# 7
Crystalline NaMg14Zr at its relaxed geometry. Source: Materials Project, functional PBE-GGA.

Output
Its total energy is -1.967 eV per atom. As for the magnetization: 0.00 μB/atom. The formation energy comes out at 0.81 eV per formula unit.

a b c (Å): 6.5059 6.5059 10.1869
angles (deg): 90.00 90.00 120.00
Space group P-6m2 (No. 187)
Symmetry-distinct sites (fractional):
Na  0.0000  0.0000  0.0000 [1 per cell]
Mg  0.0031  0.5016  0.0000 [3 per cell]
Mg  0.0051  0.5025  0.5000 [3 per cell]
Mg  0.1659  0.3318  0.2532 [6 per cell]
Mg  0.6667  0.3333  0.2509 [2 per cell]
Zr  0.0000  0.0000  0.5000 [1 per cell]

---

# 8
Crystalline Mg5Ti at its relaxed geometry. Source: Materials Project, functional PBE-GGA.

Output
Its total energy is -2.551 eV per atom. As for the magnetization: 0.29 μB/atom. The formation energy comes out at 0.59 eV per formula unit.

a b c (Å): 5.1039 3.1079 16.4651
angles (deg): 90.00 90.00 90.00
Space group Amm2 (No. 38)
Symmetry-distinct sites (fractional):
Mg  0.0000  0.0000  0.0000 [2 per cell]
Mg  0.0000  0.0000  0.3252 [2 per cell]
Mg  0.5000  0.0000  0.1100 [2 per cell]
Mg  0.5000  0.0000  0.4403 [2 per cell]
Mg  0.5000  0.0000  0.7688 [2 per cell]
Ti  0.0000  0.0000  0.6622 [2 per cell]

---

Copy entry 1 word for word.
Crystalline LiIrN2 at its relaxed geometry. Source: Materials Project, functional PBE-GGA.

Output
Its total energy is -6.591 eV per atom. As for the magnetization: 0.00 μB/atom. The formation energy comes out at 0.33 eV per formula unit.

a b c (Å): 5.1849 10.4666 15.1799
angles (deg): 90.00 90.00 90.00
Space group Pbca (No. 61)
Symmetry-distinct sites (fractional):
Li  0.1636  0.0141  0.0689 [8 per cell]
Li  0.2139  0.2044  0.1990 [8 per cell]
Ir  0.1247  0.5273  0.8022 [8 per cell]
Ir  0.2109  0.2306  0.4328 [8 per cell]
N  0.0061  0.5972  0.1171 [8 per cell]
N  0.0079  0.5185  0.3091 [8 per cell]
N  0.0409  0.6611  0.5104 [8 per cell]
N  0.1383  0.7064  0.8254 [8 per cell]